Entry 1:
# Ca3W2N4 | the Materials Project | PBE-GGA | relaxed
data_Ca3W2N4
_symmetry_space_group_name_H-M 'P 1'
_symmetry_Int_Tables_number 1
_cell_length_a 6.011
_cell_length_b 10.064
_cell_length_c 9.322
_cell_angle_alpha 90.00
_cell_angle_beta 90.00
_cell_angle_gamma 90.00
loop_
_symmetry_equiv_pos_as_xyz
'x,y,z'
loop_
_atom_site_label
_atom_site_fract_x
_atom_site_fract_y
_atom_site_fract_z
_atom_site_occupancy
N1 0.757 0.337 0.599 1
N2 0.993 0.432 0.158 1
Ca1 0.750 0.000 0.108 1
Ca2 0.113 0.157 0.576 1
N3 0.507 0.568 0.158 1
Ca3 0.613 0.157 0.424 1
Ca4 0.113 0.343 0.924 1
N4 0.257 0.337 0.401 1
Ca5 0.613 0.343 0.076 1
Ca6 0.250 0.500 0.608 1
N5 0.007 0.568 0.842 1
N6 0.507 0.932 0.342 1
W1 0.573 0.250 0.750 1
Ca7 0.387 0.843 0.576 1
W2 0.427 0.750 0.250 1
N7 0.243 0.663 0.401 1
N8 0.493 0.068 0.658 1
W3 0.073 0.250 0.250 1
Ca8 0.250 0.000 0.892 1
N9 0.743 0.837 0.901 1
Ca9 0.750 0.500 0.392 1
N10 0.743 0.663 0.599 1
W4 0.250 0.500 0.273 1
N11 0.993 0.068 0.342 1
N12 0.757 0.163 0.901 1
W5 0.250 0.000 0.227 1
Ca10 0.887 0.657 0.076 1
W6 0.927 0.750 0.750 1
N13 0.493 0.432 0.842 1
W7 0.750 0.500 0.727 1
N14 0.007 0.932 0.658 1
N15 0.257 0.163 0.099 1
Ca11 0.387 0.657 0.924 1
N16 0.243 0.837 0.099 1
W8 0.750 0.000 0.773 1
Ca12 0.887 0.843 0.424 1
# Crystal system: orthorhombic
# Calculated formation energy, eV per atom: -0.76
# DFT total energy, eV per atom: -7.856
# E (MP2020), eV per atom: -8.017

Entry 2:
# Na2GaAgBr6 | the Materials Project | PBE-GGA | relaxed
data_Na2GaAgBr6
_symmetry_space_group_name_H-M 'P 1'
_symmetry_Int_Tables_number 1
_cell_length_a 7.590
_cell_length_b 7.590
_cell_length_c 7.590
_cell_angle_alpha 60.00
_cell_angle_beta 60.00
_cell_angle_gamma 60.00
loop_
_symmetry_equiv_pos_as_xyz
'x,y,z'
loop_
_atom_site_label
_atom_site_fract_x
_atom_site_fract_y
_atom_site_fract_z
_atom_site_occupancy
Br1 0.240 0.760 0.760 1
Ga1 0.000 0.000 0.000 1
Br2 0.240 0.760 0.240 1
Br3 0.760 0.240 0.240 1
Ag1 0.500 0.500 0.500 1
Br4 0.760 0.760 0.240 1
Na1 0.250 0.250 0.250 1
Br5 0.760 0.240 0.760 1
Na2 0.750 0.750 0.750 1
Br6 0.240 0.240 0.760 1
# Crystal system: cubic
# Calculated formation energy, eV per atom: -1.18
# DFT total energy, eV per atom: -2.691
# E (MP2020), eV per atom: -3.012

Entry 3:
# Te2I | the Materials Project | PBE-GGA | relaxed
data_Te2I
_symmetry_space_group_name_H-M 'P 1'
_symmetry_Int_Tables_number 1
_cell_length_a 4.164
_cell_length_b 14.119
_cell_length_c 17.075
_cell_angle_alpha 90.00
_cell_angle_beta 90.00
_cell_angle_gamma 90.00
loop_
_symmetry_equiv_pos_as_xyz
'x,y,z'
loop_
_atom_site_label
_atom_site_fract_x
_atom_site_fract_y
_atom_site_fract_z
_atom_site_occupancy
I1 0.750 0.142 0.154 1
I2 0.250 0.642 0.346 1
Te1 0.250 0.587 0.597 1
Te2 0.750 0.802 0.306 1
I3 0.750 0.111 0.444 1
I4 0.250 0.889 0.556 1
Te3 0.250 0.913 0.097 1
I5 0.250 0.611 0.056 1
Te4 0.250 0.563 0.769 1
Te5 0.250 0.302 0.194 1
Te6 0.250 0.198 0.694 1
Te7 0.750 0.063 0.731 1
Te8 0.750 0.730 0.580 1
I6 0.750 0.389 0.944 1
Te9 0.750 0.698 0.806 1
Te10 0.750 0.770 0.080 1
Te11 0.750 0.087 0.903 1
Te12 0.250 0.270 0.420 1
I7 0.750 0.358 0.654 1
Te13 0.250 0.230 0.920 1
Te14 0.750 0.413 0.403 1
Te15 0.250 0.937 0.269 1
Te16 0.750 0.437 0.231 1
I8 0.250 0.858 0.846 1
# Crystal system: orthorhombic
# Calculated formation energy, eV per atom: -0.18
# DFT total energy, eV per atom: -2.662
# E (MP2020), eV per atom: -2.788

Entry 4:
# AlBr4 | the Materials Project | PBE-GGA | relaxed
data_AlBr4
_symmetry_space_group_name_H-M 'P 1'
_symmetry_Int_Tables_number 1
_cell_length_a 13.424
_cell_length_b 13.424
_cell_length_c 13.424
_cell_angle_alpha 60.00
_cell_angle_beta 60.00
_cell_angle_gamma 60.00
loop_
_symmetry_equiv_pos_as_xyz
'x,y,z'
loop_
_atom_site_label
_atom_site_fract_x
_atom_site_fract_y
_atom_site_fract_z
_atom_site_occupancy
Br1 0.718 0.920 0.282 1
Al1 0.250 0.750 0.750 1
Br2 0.282 0.920 0.080 1
Br3 0.420 0.782 0.580 1
Br4 0.420 0.580 0.218 1
Br5 0.718 0.282 0.080 1
Br6 0.782 0.218 0.580 1
Al2 0.250 0.750 0.250 1
Al3 0.250 0.250 0.750 1
Br7 0.420 0.218 0.782 1
Br8 0.218 0.420 0.580 1
Br9 0.782 0.580 0.420 1
Br10 0.080 0.920 0.718 1
Br11 0.920 0.080 0.282 1
Al4 0.750 0.250 0.750 1
Br12 0.282 0.718 0.920 1
Br13 0.580 0.420 0.782 1
Br14 0.920 0.718 0.080 1
Al5 0.750 0.250 0.250 1
Br15 0.218 0.580 0.782 1
Br16 0.080 0.718 0.282 1
Br17 0.920 0.282 0.718 1
Br18 0.718 0.080 0.920 1
Br19 0.218 0.782 0.420 1
Br20 0.580 0.218 0.420 1
Al6 0.750 0.750 0.250 1
Br21 0.782 0.420 0.218 1
Br22 0.282 0.080 0.718 1
Br23 0.080 0.282 0.920 1
Br24 0.580 0.782 0.218 1
# Crystal system: cubic
# Calculated formation energy, eV per atom: -1.18
# DFT total energy, eV per atom: -2.811
# E (MP2020), eV per atom: -3.238

Entry 5:
# Mg6NiW | the Materials Project | PBE-GGA | relaxed
data_Mg6NiW
_symmetry_space_group_name_H-M 'P 1'
_symmetry_Int_Tables_number 1
_cell_length_a 4.704
_cell_length_b 5.853
_cell_length_c 10.722
_cell_angle_alpha 90.00
_cell_angle_beta 90.00
_cell_angle_gamma 90.00
loop_
_symmetry_equiv_pos_as_xyz
'x,y,z'
loop_
_atom_site_label
_atom_site_fract_x
_atom_site_fract_y
_atom_site_fract_z
_atom_site_occupancy
Ni1 0.000 0.000 0.802 1
Mg1 0.000 0.761 0.585 1
Ni2 0.000 0.500 0.302 1
Mg2 0.000 0.239 0.585 1
Mg3 0.000 0.261 0.085 1
W1 0.500 0.500 0.187 1
Mg4 0.500 0.500 0.670 1
Mg5 0.500 0.744 0.422 1
Mg6 0.500 0.756 0.922 1
Mg7 0.000 0.000 0.328 1
Mg8 0.500 0.244 0.922 1
Mg9 0.000 0.739 0.085 1
W2 0.500 0.000 0.687 1
Mg10 0.000 0.500 0.828 1
Mg11 0.500 0.256 0.422 1
Mg12 0.500 0.000 0.170 1
# Calculated formation energy, eV per atom: 0.27
# DFT total energy, eV per atom: -3.272

Entry 6:
# Li2Sb | the Materials Project | PBE-GGA | relaxed
data_Li2Sb
_symmetry_space_group_name_H-M 'P 1'
_symmetry_Int_Tables_number 1
_cell_length_a 7.951
_cell_length_b 7.951
_cell_length_c 6.568
_cell_angle_alpha 90.00
_cell_angle_beta 90.00
_cell_angle_gamma 120.00
loop_
_symmetry_equiv_pos_as_xyz
'x,y,z'
loop_
_atom_site_label
_atom_site_fract_x
_atom_site_fract_y
_atom_site_fract_z
_atom_site_occupancy
Li1 0.010 0.637 0.750 1
Li2 0.291 0.000 0.500 1
Sb1 0.000 0.000 0.750 1
Sb2 0.667 0.333 0.976 1
Sb3 0.667 0.333 0.524 1
Li3 0.637 0.010 0.250 1
Li4 0.291 0.000 0.000 1
Li5 0.990 0.627 0.250 1
Sb4 0.000 0.000 0.250 1
Li6 0.373 0.363 0.250 1
Li7 0.363 0.373 0.750 1
Li8 0.709 0.709 0.000 1
Li9 0.000 0.291 0.500 1
Sb5 0.333 0.667 0.024 1
Sb6 0.333 0.667 0.476 1
Li10 0.627 0.990 0.750 1
Li11 0.709 0.709 0.500 1
Li12 0.000 0.291 0.000 1
# Crystal system: hexagonal
# Calculated formation energy, eV per atom: -0.63
# DFT total energy, eV per atom: -3.215
# E (MP2020), eV per atom: -3.279

Entry 7:
# MgAg2Sb2O6 | the Materials Project | PBE-GGA | relaxed
data_MgAg2Sb2O6
_symmetry_space_group_name_H-M 'P 1'
_symmetry_Int_Tables_number 1
_cell_length_a 6.189
_cell_length_b 6.189
_cell_length_c 6.189
_cell_angle_alpha 55.99
_cell_angle_beta 55.99
_cell_angle_gamma 55.99
loop_
_symmetry_equiv_pos_as_xyz
'x,y,z'
loop_
_atom_site_label
_atom_site_fract_x
_atom_site_fract_y
_atom_site_fract_z
_atom_site_occupancy
O1 0.842 0.381 0.059 1
O2 0.059 0.842 0.381 1
O3 0.381 0.059 0.842 1
Ag1 0.597 0.597 0.597 1
Mg1 0.000 0.000 0.000 1
O4 0.941 0.158 0.619 1
Sb1 0.189 0.189 0.189 1
Sb2 0.811 0.811 0.811 1
O5 0.158 0.619 0.941 1
Ag2 0.403 0.403 0.403 1
O6 0.619 0.941 0.158 1
# Crystal system: trigonal
# Calculated formation energy, eV per atom: -1.50
# DFT total energy, eV per atom: -5.237
# E (MP2020), eV per atom: -5.612

Entry 8:
# Ga2AsRh5 | the Materials Project | PBE-GGA | relaxed
data_Ga2AsRh5
_symmetry_space_group_name_H-M 'P 1'
_symmetry_Int_Tables_number 1
_cell_length_a 4.072
_cell_length_b 5.513
_cell_length_c 10.293
_cell_angle_alpha 90.00
_cell_angle_beta 90.00
_cell_angle_gamma 90.00
loop_
_symmetry_equiv_pos_as_xyz
'x,y,z'
loop_
_atom_site_label
_atom_site_fract_x
_atom_site_fract_y
_atom_site_fract_z
_atom_site_occupancy
As1 0.000 0.500 0.000 1
As2 0.000 0.000 0.500 1
Rh1 0.500 0.668 0.897 1
Rh2 0.000 0.637 0.225 1
Rh3 0.000 0.863 0.725 1
Ga1 0.500 0.385 0.351 1
Rh4 0.500 0.168 0.603 1
Ga2 0.500 0.615 0.649 1
Ga3 0.500 0.885 0.149 1
Rh5 0.000 0.137 0.275 1
Rh6 0.500 0.332 0.103 1
Rh7 0.000 0.000 0.000 1
Rh8 0.500 0.832 0.397 1
Rh9 0.000 0.363 0.775 1
Rh10 0.000 0.500 0.500 1
Ga4 0.500 0.115 0.851 1
# Crystal system: orthorhombic
# Calculated formation energy, eV per atom: -0.52
# DFT total energy, eV per atom: -6.458

Going through the records in order, we get calculated density values of 6.41, 3.78, 5.06, 2.02, 4.37, 3.76, 6.33, 10.48 Mg/m³.